! Cs2TlAsBr6 (PBE-GGA, relaxed); values from VASP
! V, Å³ per atom: 39.591
! Symmetry: No. 225
! Total energy, eV per cell: -29.693
&SYSTEM
  ibrav = 0, nat = 10, ntyp = 4
/
ATOMIC_SPECIES
Cs 132.91 Cs.upf
Tl 204.38 Tl.upf
As 74.92 As.upf
Br 79.90 Br.upf
ATOMIC_POSITIONS crystal
Cs 0.250 0.250 0.250
Cs 0.750 0.750 0.750
Tl 0.000 0.000 0.000
As 0.500 0.500 0.500
Br 0.270 0.270 0.730
Br 0.270 0.730 0.270
Br 0.270 0.730 0.730
Br 0.730 0.270 0.270
Br 0.730 0.270 0.730
Br 0.730 0.730 0.270
CELL_PARAMETERS angstrom
0.000 5.828 5.828
5.828 0.000 5.828
5.828 5.828 0.000